Entry 1:
# V2NiP2H6O13

V2NiP2H6O13 after structural relaxation (GGA+U, the Materials Project).

Cell lengths 9.5208, 9.8242, 10.4284 Å; angles 90.00, 90.00, 90.00 degrees
Last column: nearest neighbours and their distance in Å.
Positions (direct):
H  0.7500  0.9971  0.9397  1 O 0.98
H  0.0238  0.8871  0.9013  1 O 0.99
H  0.2500  0.9834  0.2134  1 O 0.98
H  0.4322  0.4636  0.3508  1 O 0.98
H  0.5238  0.1129  0.0987  1 O 0.99
H  0.9322  0.9636  0.1492  1 O 0.98
H  0.9762  0.3871  0.5987  1 O 0.99
H  0.0678  0.0364  0.8508  1 O 0.98
H  0.0678  0.4636  0.3508  1 O 0.98
H  0.9322  0.5364  0.6492  1 O 0.98
H  0.5678  0.9636  0.1492  1 O 0.98
H  0.4762  0.6129  0.4013  1 O 0.99
H  0.2500  0.4971  0.5603  1 O 0.98
H  0.5678  0.5364  0.6492  1 O 0.98
H  0.9762  0.1129  0.0987  1 O 0.99
H  0.0238  0.6129  0.4013  1 O 0.99
H  0.2500  0.5166  0.7134  1 O 0.98
H  0.7500  0.5029  0.4397  1 O 0.98
H  0.5238  0.3871  0.5987  1 O 0.99
H  0.7500  0.0166  0.7866  1 O 0.98
H  0.7500  0.4834  0.2866  1 O 0.98
H  0.4322  0.0364  0.8508  1 O 0.98
H  0.2500  0.0029  0.0603  1 O 0.98
H  0.4762  0.8871  0.9013  1 O 0.99
O  0.3853  0.8194  0.5974  1 P 1.57
O  0.6035  0.0524  0.1209  2 H 0.98-0.99
O  0.1046  0.4660  0.9009  1 P 1.53
O  0.7500  0.9501  0.8568  2 H 0.98
O  0.2500  0.0509  0.6412  1 V 1.71
O  0.6147  0.1806  0.4026  1 P 1.57
O  0.9045  0.7435  0.4713  1 P 1.55
O  0.7500  0.5499  0.3568  2 H 0.98
O  0.2500  0.4491  0.1412  1 V 1.71
O  0.3853  0.6806  0.0974  1 P 1.57
O  0.6035  0.4476  0.6209  2 H 0.98-0.99
O  0.3965  0.9476  0.8791  2 H 0.98-0.99
O  0.2500  0.6977  0.8468  1 V 1.67
O  0.2500  0.8023  0.3468  1 V 1.67
O  0.1035  0.5524  0.3791  2 H 0.98-0.99
O  0.2500  0.0499  0.1432  2 H 0.98
O  0.1147  0.6806  0.0974  1 P 1.57
O  0.1046  0.0340  0.4009  1 P 1.53
O  0.7500  0.5509  0.8588  1 V 1.71
O  0.9045  0.7565  0.9713  1 P 1.55
O  0.7500  0.1977  0.6532  1 V 1.67
O  0.3965  0.5524  0.3791  2 H 0.98-0.99
O  0.8954  0.9660  0.5991  1 P 1.53
O  0.0955  0.2565  0.5287  1 P 1.55
O  0.5955  0.7565  0.9713  1 P 1.55
O  0.4017  0.2372  0.7868  1 P 1.54
O  0.4045  0.2565  0.5287  1 P 1.55
O  0.8965  0.0524  0.1209  2 H 0.98-0.99
O  0.8853  0.3194  0.9026  1 P 1.57
O  0.5983  0.7372  0.7132  1 P 1.54
O  0.7500  0.3023  0.1532  1 V 1.67
O  0.4045  0.2435  0.0287  1 P 1.55
O  0.4017  0.2628  0.2868  1 P 1.54
O  0.7500  0.9491  0.3588  1 V 1.71
O  0.3954  0.0340  0.4009  1 P 1.53
O  0.8954  0.5340  0.0991  1 P 1.53
O  0.3954  0.4660  0.9009  1 P 1.53
O  0.6147  0.3194  0.9026  1 P 1.57
O  0.5955  0.7435  0.4713  1 P 1.55
O  0.5983  0.7628  0.2132  1 P 1.54
O  0.1035  0.9476  0.8791  2 H 0.98-0.99
O  0.2500  0.4501  0.6432  2 H 0.98
O  0.0983  0.2372  0.7868  1 P 1.54
O  0.8965  0.4476  0.6209  2 H 0.98-0.99
O  0.9017  0.7372  0.7132  1 P 1.54
O  0.0955  0.2435  0.0287  1 P 1.55
O  0.6046  0.9660  0.5991  1 P 1.53
O  0.1147  0.8194  0.5974  1 P 1.57
O  0.6046  0.5340  0.0991  1 P 1.53
O  0.9017  0.7628  0.2132  1 P 1.54
O  0.0983  0.2628  0.2868  1 P 1.54
O  0.8853  0.1806  0.4026  1 P 1.57
V  0.7500  0.4116  0.0299  1 O 1.67
V  0.2500  0.2239  0.6553  1 O 1.71
V  0.2500  0.2761  0.1553  1 O 1.71
V  0.2500  0.5884  0.9701  1 O 1.67
V  0.7500  0.7239  0.8447  1 O 1.71
V  0.2500  0.9116  0.4701  1 O 1.67
V  0.7500  0.7761  0.3447  1 O 1.71
V  0.7500  0.0884  0.5299  1 O 1.67
Ni  0.2500  0.8725  0.7515  6 O 1.98-2.12
Ni  0.7500  0.1275  0.2485  6 O 1.98-2.12
Ni  0.2500  0.6275  0.2515  6 O 1.98-2.12
Ni  0.7500  0.3725  0.7485  6 O 1.98-2.12
P  0.4497  0.1805  0.4049  4 O 1.53-1.57
P  0.4497  0.3195  0.9049  4 O 1.53-1.57
P  0.0503  0.3195  0.9049  4 O 1.53-1.57
P  0.5503  0.8195  0.5951  4 O 1.53-1.57
P  0.5503  0.6805  0.0951  4 O 1.53-1.57
P  0.9497  0.8195  0.5951  4 O 1.53-1.57
P  0.0503  0.1805  0.4049  4 O 1.53-1.57
P  0.9497  0.6805  0.0951  4 O 1.53-1.57

For the formation enthalpy at 0 K, the calculation gives -2.013 eV per atom. The value obtained for the raw total energy is -6.371 eV per atom. Its calculated density is 2.973 g/cm3.



Entry 2:
# V2NiP2H8O14

V2NiP2H8O14 after structural relaxation (GGA+U, the Materials Project).

Cell lengths 6.3339, 6.3339, 8.0634 Å; angles 113.13, 113.13, 90.00 degrees
Last column: nearest neighbours and their distance in Å.
Positions (direct):
H  0.1219  0.5937  0.8804  1 O 0.99
H  0.7585  0.2867  0.8804  1 O 0.99
H  0.2867  0.1219  0.8804  1 O 0.99
H  0.4063  0.2415  0.1196  1 O 0.99
H  0.2415  0.7133  0.1196  1 O 0.99
H  0.7133  0.8781  0.1196  1 O 0.99
H  0.5937  0.7585  0.8804  1 O 0.99
H  0.8781  0.4063  0.1196  1 O 0.99
O  0.0145  0.3460  0.6371  1 P 1.55
O  0.7996  0.2572  0.0000  2 H 0.99
O  0.2911  0.0145  0.6371  1 P 1.55
O  0.2004  0.7428  0.0000  2 H 0.99
O  0.6226  0.2911  0.6371  1 P 1.55
O  0.2572  0.2004  0.0000  2 H 0.99
O  0.3774  0.7089  0.3629  1 P 1.55
O  0.7089  0.9855  0.3629  1 P 1.55
O  0.8451  0.8451  0.6901  1 V 1.64
O  0.1549  0.1549  0.3098  1 V 1.64
O  0.3460  0.6226  0.6371  1 P 1.55
O  0.7428  0.7996  0.0000  2 H 0.99
O  0.9855  0.6540  0.3629  1 P 1.55
O  0.6540  0.3774  0.3629  1 P 1.55
V  0.7226  0.7226  0.4453  1 O 1.64
V  0.2774  0.2774  0.5547  1 O 1.64
P  0.2500  0.7500  0.5000  4 O 1.55
P  0.7500  0.2500  0.5000  4 O 1.55
Ni  0.0000  0.0000  0.0000  6 O 2.07-2.08

For the formation enthalpy at 0 K, the calculation gives -1.933 eV per atom. The value obtained for the raw total energy is -6.216 eV per atom. Its calculated density is 2.806 g/cm3.



Entry 3:
# V2NiP2H6O13

V2NiP2H6O13 after structural relaxation (GGA+U, the Materials Project).

Cell lengths 9.5565, 10.6196, 10.6238 Å; angles 90.00, 90.00, 90.00 degrees
Last column: nearest neighbours and their distance in Å.
Positions (direct):
O  0.7500  0.0155  0.9733  2 O 1.45
O  0.3746  0.4863  0.5985  1 H 1.00
O  0.3948  0.2743  0.3063  1 P 1.52
O  0.3741  0.4446  0.8973  1 H 1.22
O  0.2500  0.4853  0.1474  2 V 1.84-2.04, 1 Ni 1.96
O  0.6254  0.5137  0.4015  1 H 1.00
O  0.8946  0.3222  0.9010  1 P 1.56
O  0.7500  0.2667  0.6005  1 H 0.99
O  0.6259  0.5554  0.1027  1 H 1.22
O  0.8948  0.7743  0.1937  1 P 1.52
O  0.1054  0.6778  0.0990  1 P 1.56
O  0.2500  0.0147  0.6474  2 V 1.84-2.04, 1 Ni 1.96
O  0.8741  0.9446  0.6027  1 H 1.22
O  0.0966  0.2399  0.5454  1 P 1.54, 1 H 1.71
O  0.0966  0.2601  0.0454  1 P 1.54, 1 H 1.71
O  0.6054  0.1778  0.4010  1 P 1.56
O  0.3741  0.0554  0.3973  1 H 1.22
O  0.9034  0.7399  0.9546  1 P 1.54, 1 H 1.71
O  0.7500  0.9853  0.3526  2 V 1.84-2.04, 1 Ni 1.96
O  0.9034  0.7601  0.4546  1 P 1.54, 1 H 1.71
O  0.3946  0.8222  0.5990  1 P 1.56
O  0.1259  0.0554  0.3973  1 H 1.22
O  0.8746  0.9863  0.9015  1 H 1.00
O  0.5966  0.7601  0.4546  1 P 1.54, 1 H 1.71
O  0.8746  0.5137  0.4015  1 H 1.00
O  0.6052  0.7257  0.6937  1 P 1.52
O  0.1052  0.2743  0.3063  1 P 1.52
O  0.2500  0.7667  0.8995  1 H 0.99
O  0.3946  0.6778  0.0990  1 P 1.56
O  0.1259  0.4446  0.8973  1 H 1.22
O  0.2500  0.7333  0.3995  1 H 0.99
O  0.2500  0.9845  0.0267  2 O 1.45
O  0.1052  0.2257  0.8063  1 P 1.52
O  0.6259  0.9446  0.6027  1 H 1.22
O  0.5966  0.7399  0.9546  1 P 1.54, 1 H 1.71
O  0.8948  0.7257  0.6937  1 P 1.52
O  0.7500  0.2333  0.1005  1 H 0.99
O  0.2500  0.5155  0.5267  2 O 1.45
O  0.4034  0.2399  0.5454  1 P 1.54, 1 H 1.71
O  0.1254  0.4863  0.5985  1 H 1.00
O  0.6054  0.3222  0.9010  1 P 1.56
O  0.1254  0.0137  0.0985  1 H 1.00
O  0.6052  0.7743  0.1937  1 P 1.52
O  0.4034  0.2601  0.0454  1 P 1.54, 1 H 1.71
O  0.7500  0.5147  0.8526  2 V 1.84-2.04, 1 Ni 1.96
O  0.1054  0.8222  0.5990  1 P 1.56
O  0.3746  0.0137  0.0985  1 H 1.00
O  0.8741  0.5554  0.1027  1 H 1.22
O  0.3948  0.2257  0.8063  1 P 1.52
O  0.7500  0.4845  0.4733  2 O 1.45
O  0.6254  0.9863  0.9015  1 H 1.00
O  0.8946  0.1778  0.4010  1 P 1.56
P  0.4438  0.3087  0.9138  4 O 1.52-1.60
P  0.5562  0.8087  0.5862  4 O 1.52-1.60
P  0.4438  0.1913  0.4138  4 O 1.52-1.60
P  0.9438  0.6913  0.0862  4 O 1.52-1.60
P  0.0562  0.3087  0.9138  4 O 1.52-1.60
P  0.9438  0.8087  0.5862  4 O 1.52-1.60
P  0.5562  0.6913  0.0862  4 O 1.52-1.60
P  0.0562  0.1913  0.4138  4 O 1.52-1.60
H  0.8955  0.6013  0.4314  1 O 1.00
H  0.7894  0.3987  0.2401  1 H 0.75
H  0.2106  0.6013  0.7599  1 H 0.75
H  0.7500  0.9260  0.6227  2 O 1.22
H  0.7106  0.3987  0.2401  1 H 0.75
H  0.7500  0.3293  0.5317  1 O 0.99
H  0.2500  0.4260  0.8773  2 O 1.22
H  0.8955  0.8987  0.9314  1 O 1.00
H  0.2500  0.6707  0.4683  1 O 0.99
H  0.7106  0.1013  0.7401  1 H 0.75
H  0.7894  0.1013  0.7401  1 H 0.75
H  0.7500  0.5740  0.1227  2 O 1.22
H  0.1045  0.3987  0.5686  1 O 1.00
H  0.6045  0.6013  0.4314  1 O 1.00
H  0.2894  0.6013  0.7599  1 H 0.75
H  0.1045  0.1013  0.0686  1 O 1.00
H  0.7500  0.1707  0.0317  1 O 0.99
H  0.2500  0.8293  0.9683  1 O 0.99
H  0.2500  0.0740  0.3773  2 O 1.22
H  0.2894  0.8987  0.2599  1 H 0.75
H  0.3955  0.1013  0.0686  1 O 1.00
H  0.2106  0.8987  0.2599  1 H 0.75
H  0.6045  0.8987  0.9314  1 O 1.00
H  0.3955  0.3987  0.5686  1 O 1.00
V  0.7500  0.8140  0.3239  3 O 1.84-2.00
V  0.7500  0.0882  0.5145  6 O 2.04-2.15, 1 H 2.07
V  0.2500  0.9118  0.4855  6 O 2.04-2.15, 1 H 2.07
V  0.7500  0.6860  0.8239  3 O 1.84-2.00
V  0.2500  0.5882  0.9855  6 O 2.04-2.15, 1 H 2.07
V  0.2500  0.3140  0.1761  3 O 1.84-2.00
V  0.2500  0.1860  0.6761  3 O 1.84-2.00
V  0.7500  0.4118  0.0145  6 O 2.04-2.15, 1 H 2.07
Ni  0.2500  0.8573  0.7437  4 O 1.91-2.10
Ni  0.2500  0.6427  0.2437  4 O 1.91-2.10
Ni  0.7500  0.3573  0.7563  4 O 1.91-2.10
Ni  0.7500  0.1427  0.2563  4 O 1.91-2.10

For the formation enthalpy at 0 K, the calculation gives -1.634 eV per atom. The value obtained for the raw total energy is -5.992 eV per atom. Its calculated density is 2.689 g/cm3.